No. 1
Li5V3P8O29: optimized geometry, GGA+U.

E above lowest polymorph = 3 meV/atom
crystal system = triclinic

Structure (CIF):
```
data_Li5V3P8O29
_chemical_formula_sum 'Li10 V6 P16 O58'
_space_group_name_H-M_alt 'P 1'
_space_group_IT_number 1
_space_group_name_Hall 'P 1'
_cell_length_a 9.790
_cell_length_b 9.821
_cell_length_c 14.109
_cell_angle_alpha 89.91
_cell_angle_beta 89.44
_cell_angle_gamma 60.40
loop_
_atom_site_label
_atom_site_type_symbol
_atom_site_fract_x
_atom_site_fract_y
_atom_site_fract_z
Li1 Li 0.000 0.000 0.000
Li2 Li 0.002 0.591 0.497
Li3 Li 0.092 0.680 0.883
Li4 Li 0.099 0.247 0.330
Li5 Li 0.105 0.810 0.381
Li6 Li 0.449 0.000 0.500
Li7 Li 0.550 0.826 0.883
Li8 Li 0.680 0.229 0.882
Li9 Li 0.741 0.957 0.434
Li10 Li 0.863 0.586 0.005
V1 V 0.207 0.907 0.188
V2 V 0.211 0.468 0.689
V3 V 0.343 0.907 0.690
V4 V 0.349 0.337 0.187
V5 V 0.767 0.475 0.200
V6 V 0.776 0.340 0.685
P1 P 0.003 0.589 0.283
P2 P 0.004 0.996 0.779
P3 P 0.091 0.816 0.598
P4 P 0.093 0.674 0.099
P5 P 0.102 0.248 0.073
P6 P 0.112 0.240 0.568
P7 P 0.431 0.574 0.313
P8 P 0.439 0.574 0.808
P9 P 0.457 0.002 0.282
P10 P 0.457 0.139 0.785
P11 P 0.547 0.819 0.101
P12 P 0.550 0.215 0.600
P13 P 0.691 0.226 0.099
P14 P 0.692 0.684 0.601
P15 P 0.861 0.587 0.784
P16 P 0.862 0.126 0.283
O1 O 0.006 0.884 0.508
O2 O 0.008 0.678 0.369
O3 O 0.015 0.662 0.010
O4 O 0.020 0.907 0.869
O5 O 0.029 0.566 0.780
O6 O 0.035 0.986 0.277
O7 O 0.102 0.094 0.107
O8 O 0.102 0.259 0.968
O9 O 0.105 0.395 0.612
O10 O 0.110 0.823 0.098
O11 O 0.112 0.257 0.462
O12 O 0.115 0.646 0.607
O13 O 0.154 0.428 0.270
O14 O 0.155 0.007 0.759
O15 O 0.247 0.814 0.611
O16 O 0.249 0.248 0.119
O17 O 0.252 0.525 0.117
O18 O 0.268 0.095 0.602
O19 O 0.284 0.723 0.274
O20 O 0.291 0.573 0.761
O21 O 0.293 0.015 0.272
O22 O 0.296 0.289 0.763
O23 O 0.392 0.372 0.612
O24 O 0.394 0.811 0.124
O25 O 0.416 0.581 0.913
O26 O 0.428 0.565 0.417
O27 O 0.432 0.170 0.272
O28 O 0.434 0.429 0.262
O29 O 0.436 0.993 0.783
O30 O 0.444 0.722 0.770
O31 O 0.520 0.826 0.604
O32 O 0.523 0.245 0.105
O33 O 0.534 0.156 0.870
O34 O 0.534 0.900 0.010
O35 O 0.542 0.931 0.372
O36 O 0.560 0.119 0.516
O37 O 0.563 0.911 0.191
O38 O 0.566 0.116 0.693
O39 O 0.584 0.571 0.271
O40 O 0.589 0.423 0.773
O41 O 0.679 0.384 0.116
O42 O 0.686 0.253 0.606
O43 O 0.691 0.530 0.608
O44 O 0.691 0.654 0.106
O45 O 0.766 0.704 0.700
O46 O 0.773 0.148 0.008
O47 O 0.778 0.660 0.876
O48 O 0.779 0.105 0.364
O49 O 0.781 0.703 0.520
O50 O 0.786 0.111 0.185
O51 O 0.857 0.160 0.779
O52 O 0.862 0.563 0.285
O53 O 0.868 0.429 0.762
O54 O 0.874 0.278 0.277
O55 O 0.954 0.392 0.119
O56 O 0.970 0.233 0.611
O57 O 0.983 0.906 0.690
O58 O 0.984 0.694 0.190
```

=====

No. 2
Li7V3P8O29: optimized geometry, GGA+U.

E above lowest polymorph = 14 meV/atom
crystal system = triclinic

Structure (CIF):
```
data_Li7V3P8O29
_chemical_formula_sum 'Li14 V6 P16 O58'
_space_group_name_H-M_alt 'P 1'
_space_group_IT_number 1
_space_group_name_Hall 'P 1'
_cell_length_a 9.851
_cell_length_b 9.857
_cell_length_c 13.904
_cell_angle_alpha 90.06
_cell_angle_beta 90.05
_cell_angle_gamma 119.86
loop_
_atom_site_label
_atom_site_type_symbol
_atom_site_fract_x
_atom_site_fract_y
_atom_site_fract_z
Li1 Li 0.000 0.000 0.000
Li2 Li 0.001 0.417 0.504
Li3 Li 0.092 0.768 0.680
Li4 Li 0.099 0.754 0.181
Li5 Li 0.103 0.194 0.629
Li6 Li 0.440 0.860 0.000
Li7 Li 0.444 0.003 0.507
Li8 Li 0.531 0.751 0.626
Li9 Li 0.533 0.191 0.120
Li10 Li 0.666 0.324 0.632
Li11 Li 0.668 0.760 0.125
Li12 Li 0.781 0.054 0.566
Li13 Li 0.814 0.124 0.062
Li14 Li 0.859 0.424 0.000
V1 V 0.201 0.093 0.817
V2 V 0.204 0.528 0.311
V3 V 0.327 0.096 0.317
V4 V 0.328 0.653 0.817
V5 V 0.764 0.529 0.816
V6 V 0.766 0.659 0.322
P1 P 0.071 0.316 0.909
P2 P 0.074 0.180 0.409
P3 P 0.101 0.758 0.940
P4 P 0.104 0.760 0.436
P5 P 0.430 0.427 0.692
P6 P 0.436 0.428 0.196
P7 P 0.449 0.999 0.723
P8 P 0.451 0.869 0.223
P9 P 0.537 0.779 0.408
P10 P 0.539 0.178 0.908
P11 P 0.679 0.319 0.410
P12 P 0.680 0.780 0.911
P13 P 0.854 0.408 0.224
P14 P 0.854 0.874 0.723
P15 P 0.987 0.001 0.223
P16 P 0.993 0.408 0.721
O1 O 0.004 0.329 0.630
O2 O 0.018 0.018 0.721
O3 O 0.022 0.438 0.224
O4 O 0.090 0.902 0.905
O5 O 0.099 0.177 0.910
O6 O 0.099 0.610 0.394
O7 O 0.100 0.347 0.401
O8 O 0.109 0.758 0.543
O9 O 0.114 0.759 0.049
O10 O 0.138 0.988 0.237
O11 O 0.139 0.573 0.736
O12 O 0.224 0.475 0.902
O13 O 0.230 0.178 0.398
O14 O 0.254 0.767 0.896
O15 O 0.256 0.909 0.396
O16 O 0.279 0.280 0.727
O17 O 0.285 0.981 0.733
O18 O 0.286 0.723 0.236
O19 O 0.290 0.430 0.240
O20 O 0.381 0.627 0.397
O21 O 0.389 0.186 0.897
O22 O 0.431 0.451 0.585
O23 O 0.432 0.016 0.222
O24 O 0.432 0.276 0.241
O25 O 0.432 0.576 0.742
O26 O 0.432 0.834 0.722
O27 O 0.439 0.422 0.090
O28 O 0.513 0.176 0.409
O29 O 0.514 0.761 0.906
O30 O 0.534 0.859 0.134
O31 O 0.538 0.091 0.635
O32 O 0.539 0.088 0.998
O33 O 0.545 0.871 0.497
O34 O 0.554 0.087 0.815
O35 O 0.556 0.887 0.315
O36 O 0.576 0.421 0.729
O37 O 0.584 0.577 0.237
O38 O 0.674 0.624 0.901
O39 O 0.676 0.472 0.397
O40 O 0.676 0.750 0.403
O41 O 0.685 0.340 0.908
O42 O 0.753 0.879 0.643
O43 O 0.764 0.320 0.135
O44 O 0.764 0.872 0.001
O45 O 0.766 0.300 0.316
O46 O 0.768 0.320 0.498
O47 O 0.777 0.891 0.822
O48 O 0.845 0.833 0.226
O49 O 0.847 0.426 0.720
O50 O 0.862 0.569 0.236
O51 O 0.869 0.725 0.729
O52 O 0.957 0.605 0.904
O53 O 0.960 0.764 0.392
O54 O 0.964 0.305 0.989
O55 O 0.969 0.088 0.316
O56 O 0.977 0.298 0.809
O57 O 0.984 0.081 0.133
O58 O 0.987 0.104 0.499
```

=====

no.,formation energy from the elements (meV per atom),total magnetic moment (μB/atom)
1,-2618,0.044
2,-2679,0.064